Density functional theory data (GGA+U) for Li2Al2FeO6 after structural relaxation.

Output
Excess energy over the best structure of this formula in the dataset, meV per atom: 6.4
Energy of formation, eV per atom: -2.551

Cell lengths 5.0009, 8.4911, 19.7272 Å; angles 90.00, 95.65, 90.00 degrees
Last column: nearest neighbours and their distance in Å.
Space group C2 (No. 5)
Unique sites:
Li 0.1187 0.0000 0.3757  6 O 2.08-2.25
Li 0.1251 0.1552 0.8750  6 O 2.11-2.19
Li 0.1255 0.5054 0.8750  6 O 2.06-2.29
Li 0.1392 0.6554 0.3752  6 O 2.06-2.29
Al 0.0000 0.3146 0.0000  6 O 1.91-1.96
Al 0.0000 0.4837 0.5000  6 O 1.91-1.98
Al 0.0000 0.8197 0.5000  6 O 1.90-1.95
Al 0.0000 0.9867 0.0000  6 O 1.88-2.00
Al 0.2502 0.3146 0.7500  6 O 1.91-1.97
Al 0.2502 0.4865 0.2500  6 O 1.87-2.00
Fe 0.0000 0.1545 0.5000  6 O 1.91-1.95
Fe 0.0000 0.6545 0.0000  6 O 1.91-2.08
Fe 0.2505 0.1543 0.2505  6 O 1.90-2.08
O 0.0575 0.8215 0.7000  2 Al 1.91-1.92, 1 Fe 1.93
O 0.0584 0.3212 0.2006  2 Al 1.91, 1 Fe 1.93
O 0.0734 0.4891 0.6977  1 Fe 1.90, 2 Al 1.97-2.00
O 0.0739 0.9886 0.1982  1 Fe 1.91, 2 Al 1.96-2.00
O 0.0847 0.1475 0.6957  2 Al 1.88-1.91, 2 Li 2.06-2.08, 1 Fe 2.07
O 0.0850 0.6476 0.1960  2 Al 1.87-1.91, 1 Li 2.06, 1 Fe 2.08
O 0.1648 0.1477 0.0541  2 Al 1.88-1.91, 1 Li 2.06, 1 Fe 2.08
O 0.1766 0.4889 0.0521  1 Fe 1.91, 2 Al 1.96-2.00
O 0.1821 0.9901 0.5522  1 Fe 1.91, 2 Al 1.95-1.98, 1 Li 2.14
O 0.1857 0.6490 0.5510  2 Al 1.91-1.95, 1 Fe 1.95, 1 Li 2.09
O 0.1922 0.8215 0.0498  2 Al 1.91-1.92, 1 Fe 1.93
O 0.1952 0.3218 0.5504  2 Al 1.90-1.91, 1 Fe 1.94